No. 1
A plane-wave DFT calculation with GGA-PBE was carried out for a geometry-optimized Mn3Al10 structure.

Computed properties:
Symmetry: P6_3/mmc
Electronic total energy, eV/atom: -5.2332
ΔH_f (0 K), eV/atom: -0.24

Structure (CIF):
```
data_Mn3Al10
_chemical_formula_sum 'Mn6 Al20'
_cell_length_a 7.5207
_cell_length_b 7.5207
_cell_length_c 7.7890
_cell_angle_alpha 90.00
_cell_angle_beta 90.00
_cell_angle_gamma 120.00
_symmetry_space_group_name_H-M 'P 1'
_symmetry_Int_Tables_number 1
_symmetry_space_group_name_Hall 'P 1'
loop_
_atom_site_label
_atom_site_type_symbol
_atom_site_fract_x
_atom_site_fract_y
_atom_site_fract_z
Mn1 Mn 0.1210 0.2421 0.2500
Mn2 Mn 0.1210 0.8790 0.2500
Mn3 Mn 0.2421 0.1210 0.7500
Mn4 Mn 0.7579 0.8790 0.2500
Mn5 Mn 0.8790 0.1210 0.7500
Mn6 Mn 0.8790 0.7579 0.7500
Al1 Al 0.0000 0.0000 0.0000
Al2 Al 0.0000 0.0000 0.5000
Al3 Al 0.0862 0.5431 0.2500
Al4 Al 0.2002 0.4003 0.5649
Al5 Al 0.2002 0.4003 0.9351
Al6 Al 0.2002 0.7998 0.5649
Al7 Al 0.2002 0.7998 0.9351
Al8 Al 0.4003 0.2002 0.0649
Al9 Al 0.4003 0.2002 0.4351
Al10 Al 0.4569 0.5431 0.2500
Al11 Al 0.4569 0.9138 0.2500
Al12 Al 0.5431 0.0862 0.7500
Al13 Al 0.5431 0.4569 0.7500
Al14 Al 0.5997 0.7998 0.5649
Al15 Al 0.5997 0.7998 0.9351
Al16 Al 0.7998 0.2002 0.0649
Al17 Al 0.7998 0.2002 0.4351
Al18 Al 0.7998 0.5997 0.0649
Al19 Al 0.7998 0.5997 0.4351
Al20 Al 0.9138 0.4569 0.7500
```

---

No. 2
A plane-wave DFT calculation with GGA-PBE was carried out for a geometry-optimized Mn3AlN structure.

Computed properties:
E (MP2020), eV/atom: -8.3581
Total magnetic moment, μB per formula unit: 2.74
Symmetry: Pm-3m
Electronic total energy, eV/atom: -8.2859
ΔH_f (0 K), eV/atom: -0.44

Structure (CIF):
```
data_Mn3AlN
_chemical_formula_sum 'Mn3 Al1 N1'
_cell_length_a 3.7696
_cell_length_b 3.7696
_cell_length_c 3.7696
_cell_angle_alpha 90.00
_cell_angle_beta 90.00
_cell_angle_gamma 90.00
_symmetry_space_group_name_H-M 'P 1'
_symmetry_Int_Tables_number 1
_symmetry_space_group_name_Hall 'P 1'
loop_
_atom_site_label
_atom_site_type_symbol
_atom_site_fract_x
_atom_site_fract_y
_atom_site_fract_z
Mn1 Mn 0.0000 0.0000 0.5000
Mn2 Mn 0.0000 0.5000 0.0000
Mn3 Mn 0.5000 0.0000 0.0000
Al1 Al 0.5000 0.5000 0.5000
N1 N 0.0000 0.0000 0.0000
```

---

No. 3
A plane-wave DFT calculation with GGA-PBE was carried out for a geometry-optimized Mn3Al3N5 structure.

Computed properties:
E (MP2020), eV/atom: -7.8313
Total magnetic moment, μB per formula unit: 9.46
Symmetry: P-1
Electronic total energy, eV/atom: -7.6672
ΔH_f (0 K), eV/atom: -0.52

Structure (CIF):
```
data_Mn3Al3N5
_chemical_formula_sum 'Mn6 Al6 N10'
_cell_length_a 5.5973
_cell_length_b 6.2379
_cell_length_c 7.7425
_cell_angle_alpha 113.11
_cell_angle_beta 99.49
_cell_angle_gamma 99.92
_symmetry_space_group_name_H-M 'P 1'
_symmetry_Int_Tables_number 1
_symmetry_space_group_name_Hall 'P 1'
loop_
_atom_site_label
_atom_site_type_symbol
_atom_site_fract_x
_atom_site_fract_y
_atom_site_fract_z
Mn1 Mn 0.0774 0.1127 0.2067
Mn2 Mn 0.2331 0.6986 0.6420
Mn3 Mn 0.2430 0.3396 0.0531
Mn4 Mn 0.7570 0.6604 0.9469
Mn5 Mn 0.7669 0.3014 0.3580
Mn6 Mn 0.9226 0.8873 0.7933
Al1 Al 0.0232 0.3293 0.7208
Al2 Al 0.3534 0.1424 0.5551
Al3 Al 0.4087 0.8331 0.0843
Al4 Al 0.5913 0.1669 0.9157
Al5 Al 0.6466 0.8576 0.4449
Al6 Al 0.9768 0.6707 0.2792
N1 N 0.0910 0.6577 0.8933
N2 N 0.1481 0.3303 0.5042
N3 N 0.2254 0.1166 0.7700
N4 N 0.3102 0.8294 0.3404
N5 N 0.4292 0.1754 0.1680
N6 N 0.5708 0.8246 0.8320
N7 N 0.6898 0.1706 0.6596
N8 N 0.7746 0.8834 0.2300
N9 N 0.8519 0.6697 0.4958
N10 N 0.9090 0.3423 0.1067
```

---

No. 4
A plane-wave DFT calculation with GGA-PBE was carried out for a geometry-optimized Mn3AlN3 structure.

Computed properties:
E (MP2020), eV/atom: -8.4440
Total magnetic moment, μB per formula unit: 9.17
Symmetry: P2_1/m
Electronic total energy, eV/atom: -8.2893
ΔH_f (0 K), eV/atom: -0.41

Structure (CIF):
```
data_Mn3AlN3
_chemical_formula_sum 'Mn6 Al2 N6'
_cell_length_a 6.2332
_cell_length_b 3.9881
_cell_length_c 6.5629
_cell_angle_alpha 90.00
_cell_angle_beta 110.91
_cell_angle_gamma 90.00
_symmetry_space_group_name_H-M 'P 1'
_symmetry_Int_Tables_number 1
_symmetry_space_group_name_Hall 'P 1'
loop_
_atom_site_label
_atom_site_type_symbol
_atom_site_fract_x
_atom_site_fract_y
_atom_site_fract_z
Mn1 Mn 0.1083 0.2500 0.3901
Mn2 Mn 0.1705 0.2500 0.8725
Mn3 Mn 0.2743 0.7500 0.1818
Mn4 Mn 0.7257 0.2500 0.8182
Mn5 Mn 0.8295 0.7500 0.1275
Mn6 Mn 0.8917 0.7500 0.6099
Al1 Al 0.3728 0.7500 0.6804
Al2 Al 0.6272 0.2500 0.3196
N1 N 0.1191 0.7500 0.4149
N2 N 0.2160 0.7500 0.8752
N3 N 0.3096 0.2500 0.2077
N4 N 0.6904 0.7500 0.7923
N5 N 0.7840 0.2500 0.1248
N6 N 0.8809 0.2500 0.5851
```

---

No. 5
A plane-wave DFT calculation with GGA-PBE was carried out for a geometry-optimized Mn8Nb3Al structure.

Computed properties:
Symmetry: P3m1
Electronic total energy, eV/atom: -9.1372
ΔH_f (0 K), eV/atom: -0.19

Structure (CIF):
```
data_Mn8Nb3Al
_chemical_formula_sum 'Mn8 Nb3 Al1'
_cell_length_a 4.7712
_cell_length_b 4.7712
_cell_length_c 7.8783
_cell_angle_alpha 90.00
_cell_angle_beta 90.00
_cell_angle_gamma 120.00
_symmetry_space_group_name_H-M 'P 1'
_symmetry_Int_Tables_number 1
_symmetry_space_group_name_Hall 'P 1'
loop_
_atom_site_label
_atom_site_type_symbol
_atom_site_fract_x
_atom_site_fract_y
_atom_site_fract_z
Mn1 Mn 0.0000 0.0000 0.0000
Mn2 Mn 0.0000 0.0000 0.4928
Mn3 Mn 0.1714 0.3428 0.7401
Mn4 Mn 0.1714 0.8286 0.7401
Mn5 Mn 0.3471 0.1735 0.2431
Mn6 Mn 0.6572 0.8286 0.7401
Mn7 Mn 0.8265 0.1735 0.2431
Mn8 Mn 0.8265 0.6529 0.2431
Nb1 Nb 0.3333 0.6667 0.0572
Nb2 Nb 0.3333 0.6667 0.4350
Nb3 Nb 0.6667 0.3333 0.9146
Al1 Al 0.6667 0.3333 0.5538
```

---

No. 6
A plane-wave DFT calculation with GGA-PBE was carried out for a geometry-optimized MnAl2Ni structure.

Computed properties:
Symmetry: P4/mmm
Electronic total energy, eV/atom: -6.0763
ΔH_f (0 K), eV/atom: -0.47

Structure (CIF):
```
data_MnAl2Ni
_chemical_formula_sum 'Mn1 Al2 Ni1'
_cell_length_a 2.8045
_cell_length_b 2.8045
_cell_length_c 6.4069
_cell_angle_alpha 90.00
_cell_angle_beta 90.00
_cell_angle_gamma 90.00
_symmetry_space_group_name_H-M 'P 1'
_symmetry_Int_Tables_number 1
_symmetry_space_group_name_Hall 'P 1'
loop_
_atom_site_label
_atom_site_type_symbol
_atom_site_fract_x
_atom_site_fract_y
_atom_site_fract_z
Mn1 Mn 0.0000 0.0000 0.0000
Al1 Al 0.5000 0.5000 0.2641
Al2 Al 0.5000 0.5000 0.7359
Ni1 Ni 0.0000 0.0000 0.5000
```